1.
A plane-wave DFT calculation with PBE with a Hubbard U was carried out for BaLaCoIrO6 after structural relaxation.

Cell: 5.672 5.696 5.698 Å, 90.69 119.01 119.71°
Element x y z (fractional)
Ba  0.999  0.752  0.750
La  0.989  0.252  0.236
Co  0.499  0.004  0.501
Ir  0.502  0.500  0.002
O  0.536  0.736  0.292
O  0.413  0.259  0.665
O  0.013  0.283  0.800
O  0.988  0.686  0.223
O  0.517  0.223  0.211
O  0.544  0.805  0.820

## Properties
**Space group**: P1, No. 1

2.
A plane-wave DFT calculation with PBE with a Hubbard U was carried out for KMnSn3O8 after structural relaxation.

Cell: 7.555 7.555 10.452 Å, 47.10 47.10 24.82°
Element x y z (fractional)
K  0.496  0.496  0.003
Mn  0.166  0.166  0.182
Sn  0.830  0.830  0.829
Sn  0.652  0.652  0.506
Sn  0.357  0.357  0.479
O  0.164  0.164  0.373
O  0.830  0.830  0.631
O  0.457  0.457  0.708
O  0.546  0.546  0.289
O  0.198  0.198  0.958
O  0.798  0.798  0.054
O  0.849  0.849  0.350
O  0.157  0.157  0.638

## Properties
**Space group**: Cm, No. 8
**ΔE to the lowest computed polymorph**: 17.0 meV/atom

3.
A plane-wave DFT calculation with PBE with a Hubbard U was carried out for LiVSiO4 after structural relaxation.

Cell: 7.321 7.321 7.321 Å, 90.00 90.00 90.00°
Element x y z (fractional)
Li  0.248  0.752  0.252
Li  0.252  0.248  0.752
Li  0.748  0.748  0.748
Li  0.752  0.252  0.248
V  0.194  0.694  0.806
V  0.306  0.306  0.306
V  0.694  0.806  0.194
V  0.806  0.194  0.694
Si  0.031  0.031  0.031
Si  0.969  0.531  0.469
Si  0.469  0.969  0.531
Si  0.531  0.469  0.969
O  0.974  0.616  0.678
O  0.158  0.158  0.158
O  0.178  0.526  0.384
O  0.116  0.822  0.026
O  0.384  0.178  0.526
O  0.322  0.474  0.884
O  0.342  0.842  0.658
O  0.526  0.384  0.178
O  0.474  0.884  0.322
O  0.658  0.342  0.842
O  0.678  0.974  0.616
O  0.616  0.678  0.974
O  0.884  0.322  0.474
O  0.822  0.026  0.116
O  0.842  0.658  0.342
O  0.026  0.116  0.822

## Properties
**Space group**: P2_13, No. 198
**ΔE to the lowest computed polymorph**: 81.7 meV/atom

4.
A plane-wave DFT calculation with PBE with a Hubbard U was carried out for Li2V3CrO8 after structural relaxation.

Cell: 5.896 5.964 5.992 Å, 60.44 60.80 60.48°
Element x y z (fractional)
Li  0.500  0.000  0.500
Li  0.000  0.500  0.500
V  0.500  0.000  0.000
V  0.000  0.500  0.000
V  0.500  0.500  0.000
Cr  0.000  0.000  0.000
O  0.268  0.257  0.219
O  0.275  0.767  0.206
O  0.762  0.764  0.216
O  0.254  0.732  0.797
O  0.746  0.268  0.203
O  0.238  0.236  0.784
O  0.725  0.233  0.794
O  0.732  0.743  0.781

## Properties
**Space group**: P-1, No. 2
**ΔE to the lowest computed polymorph**: 80.5 meV/atom

5.
A plane-wave DFT calculation with PBE with a Hubbard U was carried out for TiCr2O5 after structural relaxation.

Cell: 5.084 5.615 7.244 Å, 109.56 90.00 63.08°
Element x y z (fractional)
Ti  0.000  0.000  0.000
Ti  0.000  0.000  0.500
Cr  0.617  0.753  0.286
Cr  0.630  0.753  0.786
Cr  0.383  0.247  0.714
Cr  0.370  0.247  0.214
O  0.192  0.000  0.750
O  0.808  0.000  0.250
O  0.038  0.628  0.848
O  0.962  0.372  0.152
O  0.666  0.372  0.652
O  0.334  0.628  0.348
O  0.746  0.838  0.555
O  0.254  0.162  0.445
O  0.584  0.162  0.945
O  0.416  0.838  0.055

## Properties
**Space group**: C2/c, No. 15

6.
A plane-wave DFT calculation with PBE with a Hubbard U was carried out for Li2TiVO4 after structural relaxation.

Cell: 5.840 7.826 7.828 Å, 113.15 111.94 68.08°
Element x y z (fractional)
Li  0.879  0.121  0.373
Li  0.128  0.377  0.126
Li  0.620  0.875  0.623
Li  0.373  0.627  0.879
Li  0.250  0.750  0.250
Li  0.499  0.001  0.999
Li  0.001  0.499  0.501
Li  0.750  0.250  0.750
Ti  0.378  0.122  0.369
Ti  0.630  0.380  0.131
Ti  0.121  0.869  0.620
Ti  0.869  0.631  0.878
V  0.251  0.249  0.750
V  0.503  0.497  0.503
V  0.995  0.005  0.995
V  0.752  0.748  0.252
O  0.372  0.351  0.609
O  0.624  0.607  0.360
O  0.128  0.111  0.853
O  0.876  0.856  0.104
O  0.373  0.896  0.144
O  0.614  0.147  0.889
O  0.128  0.640  0.393
O  0.886  0.391  0.649
O  0.249  0.004  0.504
O  0.503  0.251  0.254
O  0.997  0.753  0.751
O  0.750  0.504  0.003
O  0.001  0.249  0.247
O  0.251  0.496  0.996
O  0.749  0.997  0.497
O  0.499  0.746  0.749

## Properties
**Space group**: C2, No. 5
**ΔE to the lowest computed polymorph**: 9.8 meV/atom

7.
A plane-wave DFT calculation with PBE with a Hubbard U was carried out for La7SmNi6Ag2O20 after structural relaxation.

Cell: 11.224 11.626 17.942 Å, 109.34 108.24 90.03°
Element x y z (fractional)
La  0.301  0.068  0.122
La  0.293  0.062  0.609
La  0.303  0.559  0.606
La  0.804  0.068  0.611
La  0.805  0.566  0.123
La  0.807  0.560  0.607
La  0.191  0.438  0.390
La  0.180  0.433  0.881
La  0.181  0.938  0.389
La  0.182  0.941  0.878
La  0.699  0.439  0.391
La  0.694  0.933  0.391
La  0.680  0.934  0.876
La  0.061  0.303  0.120
La  0.052  0.298  0.607
La  0.053  0.795  0.608
La  0.546  0.307  0.120
La  0.558  0.302  0.610
La  0.548  0.808  0.124
La  0.553  0.790  0.606
La  0.446  0.208  0.392
La  0.430  0.197  0.880
La  0.446  0.697  0.388
La  0.428  0.693  0.875
La  0.944  0.204  0.391
La  0.936  0.196  0.881
La  0.944  0.702  0.392
La  0.928  0.692  0.876
Sm  0.301  0.563  0.121
Sm  0.805  0.069  0.127
Sm  0.676  0.431  0.874
Sm  0.059  0.804  0.127
Ni  0.000  0.000  0.500
Ni  0.003  0.500  0.500
Ni  0.502  0.499  0.498
Ni  0.250  0.252  0.002
Ni  0.249  0.251  0.498
Ni  0.250  0.748  0.500
Ni  0.754  0.252  0.498
Ni  0.755  0.748  0.501
Ni  0.109  0.101  0.255
Ni  0.108  0.100  0.747
Ni  0.114  0.604  0.256
Ni  0.108  0.596  0.744
Ni  0.616  0.104  0.257
Ni  0.611  0.101  0.748
Ni  0.613  0.603  0.255
Ni  0.606  0.597  0.744
Ni  0.360  0.402  0.252
Ni  0.356  0.395  0.742
Ni  0.364  0.900  0.253
Ni  0.356  0.897  0.743
Ni  0.862  0.399  0.254
Ni  0.856  0.396  0.743
Ni  0.861  0.901  0.254
Ni  0.858  0.897  0.744
Ag  0.997  0.999  0.004
Ag  0.992  0.496  0.999
Ag  0.498  0.005  0.003
Ag  0.498  0.000  0.500
Ag  0.494  0.502  0.000
Ag  0.240  0.752  0.998
Ag  0.747  0.249  0.003
Ag  0.746  0.751  0.003
O  0.114  0.119  0.483
O  0.110  0.121  0.974
O  0.114  0.616  0.479
O  0.095  0.610  0.962
O  0.616  0.125  0.478
O  0.598  0.111  0.960
O  0.616  0.617  0.481
O  0.598  0.605  0.956
O  0.143  0.386  0.030
O  0.134  0.383  0.519
O  0.138  0.892  0.048
O  0.132  0.881  0.517
O  0.634  0.386  0.037
O  0.634  0.382  0.516
O  0.641  0.897  0.044
O  0.639  0.875  0.521
O  0.353  0.114  0.472
O  0.353  0.115  0.971
O  0.366  0.612  0.481
O  0.347  0.605  0.961
O  0.867  0.114  0.483
O  0.852  0.101  0.966
O  0.868  0.613  0.482
O  0.841  0.594  0.958
O  0.379  0.397  0.034
O  0.382  0.384  0.513
O  0.383  0.898  0.033
O  0.381  0.884  0.526
O  0.890  0.395  0.042
O  0.885  0.388  0.518
O  0.893  0.902  0.050
O  0.885  0.887  0.520
O  0.131  0.139  0.164
O  0.087  0.111  0.638
O  0.129  0.632  0.158
O  0.078  0.607  0.633
O  0.625  0.140  0.161
O  0.622  0.139  0.653
O  0.626  0.638  0.159
O  0.577  0.603  0.632
O  0.449  0.391  0.361
O  0.463  0.363  0.840
O  0.468  0.862  0.347
O  0.465  0.867  0.841
O  0.943  0.392  0.366
O  0.963  0.364  0.840
O  0.947  0.892  0.366
O  0.966  0.870  0.844
O  0.342  0.279  0.140
O  0.330  0.274  0.630
O  0.366  0.767  0.152
O  0.323  0.771  0.632
O  0.879  0.268  0.159
O  0.834  0.282  0.631
O  0.887  0.771  0.163
O  0.834  0.773  0.634
O  0.184  0.226  0.366
O  0.204  0.221  0.860
O  0.196  0.728  0.367
O  0.213  0.730  0.840
O  0.702  0.227  0.367
O  0.718  0.231  0.849
O  0.703  0.719  0.368
O  0.715  0.728  0.842
O  0.436  0.062  0.255
O  0.427  0.059  0.745
O  0.432  0.559  0.248
O  0.427  0.555  0.742
O  0.928  0.062  0.254
O  0.932  0.059  0.747
O  0.935  0.561  0.256
O  0.928  0.557  0.744
O  0.186  0.444  0.255
O  0.179  0.435  0.746
O  0.181  0.940  0.254
O  0.179  0.940  0.745
O  0.682  0.441  0.254
O  0.680  0.439  0.749
O  0.685  0.943  0.257
O  0.677  0.936  0.742

## Properties
**Space group**: P1, No. 1

8.
A plane-wave DFT calculation with PBE with a Hubbard U was carried out for Al2Mo3O12 after structural relaxation.

Cell: 9.179 9.264 12.799 Å, 90.00 90.00 90.00°
Element x y z (fractional)
Al  0.250  0.466  0.381
Al  0.250  0.034  0.619
Al  0.250  0.966  0.119
Al  0.250  0.534  0.881
Al  0.750  0.534  0.619
Al  0.750  0.966  0.381
Al  0.750  0.034  0.881
Al  0.750  0.466  0.119
Mo  0.026  0.750  0.500
Mo  0.526  0.750  0.000
Mo  0.974  0.250  0.500
Mo  0.474  0.250  0.000
Mo  0.395  0.116  0.355
Mo  0.395  0.384  0.645
Mo  0.105  0.616  0.145
Mo  0.105  0.884  0.855
Mo  0.605  0.884  0.645
Mo  0.605  0.616  0.355
Mo  0.895  0.384  0.855
Mo  0.895  0.116  0.145
O  0.860  0.304  0.168
O  0.860  0.196  0.832
O  0.640  0.804  0.332
O  0.640  0.696  0.668
O  0.140  0.696  0.832
O  0.140  0.804  0.168
O  0.360  0.196  0.668
O  0.360  0.304  0.332
O  0.817  0.069  0.022
O  0.817  0.431  0.978
O  0.683  0.569  0.478
O  0.683  0.931  0.522
O  0.183  0.931  0.978
O  0.183  0.569  0.022
O  0.317  0.431  0.522
O  0.317  0.069  0.478
O  0.413  0.660  0.907
O  0.587  0.160  0.907
O  0.913  0.840  0.407
O  0.913  0.660  0.593
O  0.088  0.090  0.140
O  0.088  0.410  0.860
O  0.412  0.590  0.360
O  0.412  0.910  0.640
O  0.912  0.910  0.860
O  0.912  0.590  0.140
O  0.588  0.410  0.640
O  0.588  0.090  0.360
O  0.362  0.123  0.068
O  0.362  0.377  0.932
O  0.138  0.623  0.432
O  0.138  0.877  0.568
O  0.638  0.877  0.932
O  0.638  0.623  0.068
O  0.862  0.377  0.568
O  0.862  0.123  0.432
O  0.316  0.006  0.255
O  0.316  0.494  0.745
O  0.184  0.506  0.245
O  0.184  0.994  0.755
O  0.684  0.994  0.745
O  0.684  0.506  0.255
O  0.816  0.494  0.755
O  0.816  0.006  0.245
O  0.087  0.340  0.407
O  0.087  0.160  0.593
O  0.413  0.840  0.093
O  0.587  0.340  0.093

## Properties
**Space group**: Pbcn, No. 60

9.
A plane-wave DFT calculation with PBE with a Hubbard U was carried out for Li2Co2C2O7 after structural relaxation.

Cell: 6.247 8.915 10.609 Å, 67.07 90.00 90.00°
Element x y z (fractional)
Li  0.906  0.935  0.125
Li  0.594  0.435  0.125
Li  0.204  0.709  0.027
Li  0.704  0.791  0.973
Li  0.296  0.209  0.027
Li  0.796  0.291  0.973
Li  0.406  0.565  0.875
Li  0.094  0.065  0.875
Co  0.397  0.833  0.488
Co  0.103  0.333  0.488
Co  0.452  0.551  0.354
Co  0.048  0.051  0.354
Co  0.952  0.949  0.646
Co  0.548  0.449  0.646
Co  0.897  0.667  0.512
Co  0.603  0.167  0.512
C  0.293  0.869  0.173
C  0.871  0.591  0.255
C  0.207  0.369  0.173
C  0.629  0.091  0.255
C  0.371  0.909  0.745
C  0.793  0.631  0.827
C  0.129  0.409  0.745
C  0.707  0.131  0.827
O  0.574  0.656  0.475
O  0.780  0.988  0.265
O  0.251  0.889  0.284
O  0.982  0.576  0.364
O  0.926  0.156  0.475
O  0.720  0.488  0.265
O  0.398  0.743  0.173
O  0.249  0.389  0.284
O  0.518  0.076  0.364
O  0.913  0.708  0.138
O  0.222  0.975  0.056
O  0.102  0.243  0.173
O  0.587  0.208  0.138
O  0.278  0.475  0.056
O  0.722  0.525  0.944
O  0.413  0.792  0.862
O  0.898  0.757  0.827
O  0.778  0.025  0.944
O  0.087  0.292  0.862
O  0.482  0.924  0.636
O  0.751  0.611  0.716
O  0.602  0.257  0.827
O  0.280  0.512  0.735
O  0.074  0.844  0.525
O  0.018  0.424  0.636
O  0.749  0.111  0.716
O  0.220  0.012  0.735
O  0.426  0.344  0.525

## Properties
**Space group**: P2_1/c, No. 14
**ΔE to the lowest computed polymorph**: 0.0 meV/atom

Number 1: energy relative to the elements -2259 meV/atom. Number 2: energy relative to the elements -2065 meV/atom. Number 3: energy relative to the elements -2757 meV/atom. Number 4: energy relative to the elements -2407 meV/atom. Number 5: energy relative to the elements -2730 meV/atom. Number 6: energy relative to the elements -2742 meV/atom. Number 7: energy relative to the elements -2323 meV/atom. Number 8: energy relative to the elements -2404 meV/atom. Number 9: energy relative to the elements -1795 meV/atom.